The following is a DFT calculation (PBE+U) of a relaxed structure of LiFeSi2O6.

Summary:
Corrected total energy (MP2020 scheme) ... -7.767 eV per atom
Energy relative to the lowest polymorph listed for this composition ... 0.081 eV per atom
Calculated formation energy ... -2.68 eV/atom

Cell: 11.2059 11.2059 11.2059 Å, 113.65 113.65 101.39°
With the nearest neighbours (Å) after each atom.
Fractional positions:
Li1 0.6228 0.9158 0.5068  3 O 2.07-2.12
Li2 0.8840 0.3772 0.2930  3 O 2.07-2.12
Li3 0.6657 0.6590 0.7930  3 O 2.07-2.12
Li4 0.4090 0.1160 0.4932  3 O 2.07-2.12
Li5 0.3410 0.1340 0.0068  3 O 2.07-2.12
Li6 0.0842 0.5910 0.7070  3 O 2.07-2.12
Li7 0.8660 0.8728 0.2070  3 O 2.07-2.12
Li8 0.1272 0.3342 0.9932  3 O 2.07-2.12
Fe1 0.8807 0.6657 0.5274  4 O 1.90-1.92
Fe2 0.4157 0.3883 0.2850  4 O 1.90-1.92
Fe3 0.6468 0.1193 0.7850  4 O 1.90-1.92
Fe4 0.6117 0.8968 0.0274  4 O 1.90-1.92
Fe5 0.1383 0.3532 0.4726  4 O 1.90-1.92
Fe6 0.3343 0.8617 0.2150  4 O 1.90-1.92
Fe7 0.1032 0.1307 0.7150  4 O 1.90-1.92
Fe8 0.8693 0.5843 0.9726  4 O 1.90-1.92
Si1 0.5846 0.1032 0.2841  4 O 1.64-1.66
Si2 0.1285 0.7815 0.3239  4 O 1.63-1.64
Si3 0.4576 0.8046 0.6761  4 O 1.63-1.64
Si4 0.8191 0.3004 0.7159  4 O 1.64-1.66
Si5 0.6996 0.4154 0.5186  4 O 1.64-1.66
Si6 0.8532 0.0691 0.0186  4 O 1.64-1.66
Si7 0.1954 0.8715 0.6531  4 O 1.63-1.64
Si8 0.5315 0.7076 0.1531  4 O 1.63-1.64
Si9 0.5546 0.3785 0.8469  4 O 1.63-1.64
Si10 0.2185 0.5424 0.3469  4 O 1.63-1.64
Si11 0.0504 0.8346 0.9814  4 O 1.64-1.66
Si12 0.8968 0.1809 0.4814  4 O 1.64-1.66
Si13 0.9309 0.9496 0.7841  4 O 1.64-1.66
Si14 0.2924 0.4454 0.8239  4 O 1.63-1.64
Si15 0.6215 0.4685 0.1761  4 O 1.63-1.64
Si16 0.1654 0.1468 0.2159  4 O 1.64-1.66
O1 0.8397 0.8280 0.5989  1 Si 1.64
O2 0.7232 0.0737 0.3734  2 Si 1.65-1.66
O3 0.3684 0.6460 0.5171  2 Si 1.63-1.64
O4 0.4610 0.0604 0.3220  1 Si 1.64
O5 0.2683 0.8977 0.3530  1 Si 1.64
O6 0.6501 0.2768 0.3505  2 Si 1.65-1.66
O7 0.8237 0.9504 0.8505  2 Si 1.65-1.66
O8 0.5447 0.9153 0.6470  1 Si 1.64
O9 0.7385 0.1391 0.6780  1 Si 1.64
O10 0.1289 0.8513 0.4829  2 Si 1.63-1.64
O11 0.7820 0.5124 0.3149  1 Si 1.64
O12 0.5525 0.7829 0.8149  1 Si 1.64
O13 0.3540 0.8711 0.7224  2 Si 1.63-1.64
O14 0.6013 0.6184 0.2224  2 Si 1.63-1.64
O15 0.6477 0.7947 0.1293  1 Si 1.64
O16 0.0847 0.7317 0.6293  1 Si 1.64
O17 0.7004 0.3499 0.6266  2 Si 1.65-1.66
O18 0.8609 0.5390 0.5994  1 Si 1.64
O19 0.8104 0.9885 0.0994  1 Si 1.64
O20 0.5780 0.4791 0.4883  1 Si 1.64
O21 0.7592 0.1603 0.9883  1 Si 1.64
O22 0.2291 0.2408 0.4011  1 Si 1.64
O23 0.5329 0.2180 0.7304  1 Si 1.64
O24 0.2624 0.4475 0.2304  1 Si 1.64
O25 0.2171 0.0320 0.7696  1 Si 1.64
O26 0.4876 0.8025 0.2696  1 Si 1.64
O27 0.5209 0.0092 0.0989  1 Si 1.64
O28 0.9908 0.0897 0.5117  1 Si 1.64
O29 0.1720 0.7709 0.0117  1 Si 1.64
O30 0.9396 0.2615 0.4006  1 Si 1.64
O31 0.8891 0.7110 0.9006  1 Si 1.64
O32 0.0496 0.9001 0.8734  2 Si 1.65-1.66
O33 0.6653 0.5183 0.8707  1 Si 1.64
O34 0.1023 0.4553 0.3707  1 Si 1.64
O35 0.3960 0.3789 0.7776  2 Si 1.63-1.64
O36 0.1487 0.6316 0.2776  2 Si 1.63-1.64
O37 0.9680 0.7376 0.1851  1 Si 1.64
O38 0.1975 0.4671 0.6851  1 Si 1.64
O39 0.6211 0.3987 0.0171  2 Si 1.63-1.64
O40 0.0115 0.1109 0.8220  1 Si 1.64
O41 0.2053 0.3347 0.8530  1 Si 1.64
O42 0.9263 0.2996 0.6495  2 Si 1.65-1.66
O43 0.0999 0.9732 0.1495  2 Si 1.65-1.66
O44 0.4817 0.3523 0.1470  1 Si 1.64
O45 0.2890 0.1896 0.1780  1 Si 1.64
O46 0.3816 0.6040 0.9829  2 Si 1.63-1.64
O47 0.0268 0.1763 0.1266  2 Si 1.65-1.66
O48 0.9103 0.4220 0.9011  1 Si 1.64


The following is a DFT calculation (PBE+U) of a relaxed structure of LiFeSiO4.

Summary:
Corrected total energy (MP2020 scheme) ... -7.588 eV per atom
Energy relative to the lowest polymorph listed for this composition ... 0.034 eV per atom
Calculated formation energy ... -2.50 eV/atom

Cell: 5.4746 8.2521 18.7473 Å, 90.00 90.00 90.00°
With the nearest neighbours (Å) after each atom.
Fractional positions:
Li1 0.0205 0.0765 0.0826  4 O 1.94-2.17
Li2 0.4838 0.5771 0.0845  3 O 1.94-2.05
Li3 0.0060 0.4203 0.2490  4 O 1.95-2.12
Li4 0.5060 0.9203 0.2510  4 O 1.95-2.12
Li5 0.9838 0.0771 0.4155  3 O 1.94-2.05
Li6 0.5205 0.5765 0.4174  4 O 1.94-2.17
Li7 0.0205 0.4235 0.5826  4 O 1.94-2.17
Li8 0.4838 0.9229 0.5845  3 O 1.94-2.05
Li9 0.0060 0.0797 0.7490  4 O 1.95-2.12
Li10 0.5060 0.5797 0.7510  4 O 1.95-2.12
Li11 0.9838 0.4229 0.9155  3 O 1.94-2.05
Li12 0.5205 0.9235 0.9174  4 O 1.94-2.17
Fe1 0.0011 0.7493 0.9997  6 O 1.95-2.14
Fe2 0.5011 0.2507 0.0003  6 O 1.95-2.14
Fe3 0.5095 0.2483 0.1669  6 O 1.95-2.15
Fe4 0.0074 0.7498 0.1663  6 O 1.95-2.13
Fe5 0.5074 0.2498 0.3337  6 O 1.95-2.13
Fe6 0.0095 0.7483 0.3331  6 O 1.95-2.15
Fe7 0.0011 0.7507 0.4997  6 O 1.95-2.14
Fe8 0.5011 0.2493 0.5003  6 O 1.95-2.14
Fe9 0.5095 0.2517 0.6669  6 O 1.95-2.15
Fe10 0.0074 0.7502 0.6663  6 O 1.95-2.13
Fe11 0.5074 0.2502 0.8337  6 O 1.95-2.13
Fe12 0.0095 0.7517 0.8331  6 O 1.95-2.15
Si1 0.0024 0.4025 0.0826  4 O 1.62-1.69
Si2 0.5069 0.9029 0.0835  4 O 1.62-1.69
Si3 0.0095 0.0957 0.2498  4 O 1.62-1.68
Si4 0.5095 0.5957 0.2502  4 O 1.62-1.68
Si5 0.0069 0.4029 0.4165  4 O 1.62-1.69
Si6 0.5024 0.9025 0.4174  4 O 1.62-1.69
Si7 0.0024 0.0975 0.5826  4 O 1.62-1.69
Si8 0.5069 0.5971 0.5835  4 O 1.62-1.69
Si9 0.0095 0.4043 0.7498  4 O 1.62-1.68
Si10 0.5095 0.9043 0.7502  4 O 1.62-1.68
Si11 0.0069 0.0971 0.9165  4 O 1.62-1.69
Si12 0.5024 0.5975 0.9174  4 O 1.62-1.69
O1 0.5006 0.4864 0.9888  1 Si 1.62
O2 0.0006 0.5136 0.0112  1 Si 1.62
O3 0.5027 0.0157 0.0127  1 Si 1.62
O4 0.7467 0.7761 0.0833  1 Si 1.68
O5 0.2634 0.7778 0.0830  1 Si 1.69
O6 0.2452 0.2767 0.0833  1 Si 1.69
O7 0.7621 0.2762 0.0833  1 Si 1.68
O8 0.0097 0.5151 0.1538  1 Si 1.63
O9 0.5087 0.0134 0.1554  1 Si 1.63
O10 0.0107 0.9849 0.1782  1 Si 1.63
O11 0.5090 0.4831 0.1792  1 Si 1.62
O12 0.2688 0.7224 0.2499  1 Si 1.68
O13 0.7514 0.7215 0.2498  1 Si 1.68
O14 0.7688 0.2224 0.2501  1 Si 1.68
O15 0.2514 0.2215 0.2502  1 Si 1.68
O16 0.0090 0.9831 0.3208  1 Si 1.62
O17 0.5107 0.4849 0.3218  1 Si 1.63
O18 0.0087 0.5134 0.3446  1 Si 1.63
O19 0.5097 0.0151 0.3462  1 Si 1.63
O20 0.2621 0.7762 0.4167  1 Si 1.68
O21 0.7452 0.7767 0.4167  1 Si 1.69
O22 0.7634 0.2778 0.4170  1 Si 1.69
O23 0.2467 0.2761 0.4167  1 Si 1.68
O24 0.0027 0.5157 0.4873  1 Si 1.62
O25 0.5006 0.0136 0.4888  1 Si 1.62
O26 0.0006 0.9864 0.5112  1 Si 1.62
O27 0.5027 0.4843 0.5127  1 Si 1.62
O28 0.7467 0.7239 0.5833  1 Si 1.68
O29 0.2634 0.7222 0.5830  1 Si 1.69
O30 0.2452 0.2233 0.5833  1 Si 1.69
O31 0.7621 0.2238 0.5833  1 Si 1.68
O32 0.0097 0.9849 0.6538  1 Si 1.63
O33 0.5087 0.4866 0.6554  1 Si 1.63
O34 0.0107 0.5151 0.6782  1 Si 1.63
O35 0.5090 0.0169 0.6792  1 Si 1.62
O36 0.7514 0.7785 0.7498  1 Si 1.68
O37 0.2688 0.7776 0.7499  1 Si 1.68
O38 0.2514 0.2785 0.7502  1 Si 1.68
O39 0.7688 0.2776 0.7501  1 Si 1.68
O40 0.0090 0.5169 0.8208  1 Si 1.62
O41 0.5107 0.0151 0.8218  1 Si 1.63
O42 0.0087 0.9866 0.8446  1 Si 1.63
O43 0.5097 0.4849 0.8462  1 Si 1.63
O44 0.2621 0.7238 0.9167  1 Si 1.68
O45 0.7452 0.7233 0.9167  1 Si 1.69
O46 0.7634 0.2222 0.9170  1 Si 1.69
O47 0.2467 0.2239 0.9167  1 Si 1.68
O48 0.0027 0.9843 0.9873  1 Si 1.62


The following is a DFT calculation (PBE+U) of a relaxed structure of Li2FeSiO5.

Summary:
Corrected total energy (MP2020 scheme) ... -7.014 eV per atom
Energy relative to the lowest polymorph listed for this composition ... 0.013 eV per atom
Calculated formation energy ... -2.30 eV/atom

Cell: 13.0809 12.8240 5.0682 Å, 90.00 90.00 60.12°
With the nearest neighbours (Å) after each atom.
Fractional positions:
Li1 0.3406 0.8225 0.7236  4 O 2.03-2.19
Li2 0.0850 0.5729 0.7684  4 O 1.98-2.18
Li3 0.1600 0.6622 0.2096  4 O 2.06-2.18
Li4 0.5814 0.8371 0.7268  5 O 2.07-2.23
Li5 0.4186 0.6629 0.2268  5 O 2.07-2.23
Li6 0.8400 0.8378 0.7096  4 O 2.06-2.18
Li7 0.3406 0.3225 0.7764  4 O 2.03-2.19
Li8 0.0850 0.0729 0.7316  4 O 1.98-2.18
Li9 0.9150 0.9271 0.2684  4 O 1.98-2.18
Li10 0.6594 0.6775 0.2236  4 O 2.03-2.19
Li11 0.1600 0.1622 0.2904  4 O 2.06-2.18
Li12 0.5814 0.3371 0.7732  5 O 2.07-2.23
Li13 0.4186 0.1629 0.2732  5 O 2.07-2.23
Li14 0.8400 0.3378 0.7904  4 O 2.06-2.18
Li15 0.9150 0.4271 0.2316  4 O 1.98-2.18
Li16 0.6594 0.1775 0.2764  4 O 2.03-2.19
Fe1 0.0654 0.8127 0.7305  4 O 1.83-1.99
Fe2 0.4327 0.8820 0.2719  3 O 1.78-1.98
Fe3 0.0654 0.3127 0.7695  4 O 1.83-1.99
Fe4 0.5673 0.6180 0.7719  3 O 1.78-1.98
Fe5 0.4327 0.3820 0.2281  3 O 1.78-1.98
Fe6 0.9346 0.6873 0.2305  4 O 1.83-1.99
Fe7 0.5673 0.1180 0.7281  3 O 1.78-1.98
Fe8 0.9346 0.1873 0.2695  4 O 1.83-1.99
Si1 0.1615 0.9081 0.2258  4 O 1.64
Si2 0.6615 0.9256 0.2187  4 O 1.64
Si3 0.1615 0.4081 0.2742  4 O 1.64
Si4 0.3385 0.5744 0.7187  4 O 1.64
Si5 0.6615 0.4256 0.2813  4 O 1.64
Si6 0.8385 0.5919 0.7258  4 O 1.64
Si7 0.3385 0.0744 0.7813  4 O 1.64
Si8 0.8385 0.0919 0.7742  4 O 1.64
O1 0.1397 0.9054 0.9075  1 Si 1.64
O2 0.9952 0.7892 0.0185  1 Fe 1.83, 1 Li 2.00
O3 0.1214 0.8229 0.3854  1 Si 1.64
O4 0.3916 0.9472 0.6204  1 Si 1.64
O5 0.3019 0.8469 0.3000  1 Si 1.64
O6 0.0923 0.5454 0.1542  1 Si 1.64
O7 0.1993 0.6510 0.8066  1 Si 1.64
O8 0.6442 0.9530 0.9002  1 Si 1.64
O9 0.4843 0.7902 0.9839  1 Fe 1.78
O10 0.1397 0.4054 0.5925  1 Si 1.64
O11 0.9952 0.2892 0.4815  1 Fe 1.83, 1 Li 2.00
O12 0.5969 0.8522 0.3250  1 Si 1.64
O13 0.4031 0.6478 0.8250  1 Si 1.64
O14 0.1214 0.3229 0.1146  1 Si 1.64
O15 0.5157 0.7098 0.4839  1 Fe 1.78
O16 0.3558 0.5470 0.4002  1 Si 1.64
O17 0.3916 0.4472 0.8796  1 Si 1.64
O18 0.3019 0.3469 0.2000  1 Si 1.64
O19 0.8007 0.8490 0.3066  1 Si 1.64
O20 0.9077 0.9546 0.6542  1 Si 1.64
O21 0.0923 0.0454 0.3458  1 Si 1.64
O22 0.1993 0.1510 0.6934  1 Si 1.64
O23 0.6981 0.6531 0.8000  1 Si 1.64
O24 0.6084 0.5528 0.1204  1 Si 1.64
O25 0.6442 0.4530 0.5998  1 Si 1.64
O26 0.4843 0.2902 0.5161  1 Fe 1.78
O27 0.8786 0.6771 0.8854  1 Si 1.64
O28 0.5969 0.3522 0.1750  1 Si 1.64
O29 0.4031 0.1478 0.6750  1 Si 1.64
O30 0.0048 0.7108 0.5185  1 Fe 1.83, 1 Li 2.00
O31 0.8603 0.5946 0.4075  1 Si 1.64
O32 0.5157 0.2098 0.0161  1 Fe 1.78
O33 0.3558 0.0470 0.0998  1 Si 1.64
O34 0.8007 0.3490 0.1934  1 Si 1.64
O35 0.9077 0.4546 0.8458  1 Si 1.64
O36 0.6981 0.1531 0.7000  1 Si 1.64
O37 0.6084 0.0528 0.3796  1 Si 1.64
O38 0.8786 0.1771 0.6146  1 Si 1.64
O39 0.0048 0.2108 0.9815  1 Fe 1.83, 1 Li 2.00
O40 0.8603 0.0946 0.0925  1 Si 1.64


- Look up the calculated formation energy of the first one.
  -2.68 eV/atom